(1)
DFT (PBE) results for a relaxed structure of Eu3In.

V = 279.6 Å³ per cell
energy relative to the elements = -251 meV per atom

a b c (Å): 7.4488 7.4488 5.8196
angles (deg): 90.00 90.00 120.00
Space group P6_3/mmc (No. 194)
Unique sites:
Eu: 0.1751 0.3502 0.2500 [6 per cell]
In: 0.3333 0.6667 0.7500 [2 per cell]


(2)
DFT (PBE) results for a relaxed structure of TbRhO3.

V = 237.0 Å³ per cell
energy relative to the elements = -2576 meV per atom

a b c (Å): 5.8330 7.6789 5.2913
angles (deg): 90.00 90.00 90.00
Space group Pnma (No. 62)
Unique sites:
Tb: 0.0851 0.2500 0.0310 [4 per cell]
Rh: 0.0000 0.0000 0.5000 [4 per cell]
O: 0.0510 0.7500 0.3662 [4 per cell]
O: 0.1906 0.5622 0.8231 [8 per cell]


(3)
DFT (PBE) results for a relaxed structure of CuPO4.

V = 329.5 Å³ per cell
energy relative to the elements = -1756 meV per atom

a b c (Å): 4.8769 9.7542 8.4347
angles (deg): 90.00 124.81 90.00
Space group P2_1/c (No. 14)
Unique sites:
Cu: 0.2412 0.1433 0.0221 [4 per cell]
P: 0.4545 0.0913 0.7549 [4 per cell]
O: 0.1644 0.1188 0.7759 [4 per cell]
O: 0.2156 0.6286 0.5504 [4 per cell]
O: 0.3933 0.1710 0.5809 [4 per cell]
O: 0.4737 0.5645 0.2250 [4 per cell]


(4)
DFT (PBE) results for a relaxed structure of ScAu3.

V = 300.0 Å³ per cell
energy relative to the elements = -586 meV per atom

a b c (Å): 6.6946 6.6946 6.6946
angles (deg): 90.00 90.00 90.00
Space group Fm-3m (No. 225)
Unique sites:
Sc: 0.0000 0.0000 0.0000 [4 per cell]
Au: 0.0000 0.0000 0.5000 [4 per cell]
Au: 0.2500 0.2500 0.2500 [8 per cell]


(5)
DFT (PBE) results for a relaxed structure of Ca3V2N4.

V = 514.0 Å³ per cell
energy relative to the elements = -1151 meV per atom
relative energy among the computed polymorphs = 0 meV/atom

a b c (Å): 5.6493 9.8881 9.2010
angles (deg): 90.00 90.00 90.00
Space group Pnna (No. 52)
Unique sites:
Ca: 0.1153 0.1554 0.0821 [8 per cell]
Ca: 0.2500 0.0000 0.4031 [4 per cell]
V: 0.1505 0.2500 0.7500 [4 per cell]
V: 0.2500 0.0000 0.7361 [4 per cell]
N: 0.0023 0.0868 0.8375 [8 per cell]
N: 0.1371 0.6476 0.8757 [8 per cell]


(6)
DFT (PBE) results for a relaxed structure of DyTmRh2.

V = 315.8 Å³ per cell
energy relative to the elements = -922 meV per atom

a b c (Å): 6.8097 6.8097 6.8097
angles (deg): 90.00 90.00 90.00
Space group Fm-3m (No. 225)
Unique sites:
Dy: 0.0000 0.0000 0.0000 [4 per cell]
Tm: 0.0000 0.0000 0.5000 [4 per cell]
Rh: 0.2500 0.2500 0.2500 [8 per cell]


(7)
DFT (PBE) results for a relaxed structure of BeZn3O4.

V = 172.4 Å³ per cell
energy relative to the elements = -2077 meV per atom

a b c (Å): 4.4277 4.4277 8.7920
angles (deg): 90.00 90.00 90.00
Space group I-42m (No. 121)
Unique sites:
Be: 0.0000 0.0000 0.0000 [2 per cell]
Zn: 0.0000 0.0000 0.5000 [2 per cell]
Zn: 0.0000 0.5000 0.2500 [4 per cell]
O: 0.2183 0.2183 0.8889 [8 per cell]


(8)
DFT (PBE) results for a relaxed structure of KSmTiSnO6.

V = 510.7 Å³ per cell
energy relative to the elements = -2830 meV per atom

a b c (Å): 7.9932 7.9932 7.9932
angles (deg): 90.00 90.00 90.00
Space group F-43m (No. 216)
Unique sites:
K: 0.0000 0.0000 0.0000 [4 per cell]
Sm: 0.0000 0.0000 0.5000 [4 per cell]
Ti: 0.2500 0.2500 0.7500 [4 per cell]
Sn: 0.2500 0.2500 0.2500 [4 per cell]
O: 0.0059 0.2500 0.7500 [24 per cell]


> What is the V in the sixth record?

315.8 Å³ per cell


> What is the V in the sixth record?

315.8 Å³ per cell


> The lowest energy relative to the elements belongs to which entry?

KSmTiSnO6